i.
VASP calculation (PBE) on LiNi9S10 after structural relaxation.

```
data_LiNi9S10
_chemical_formula_sum 'Li2 Ni18 S20'
_symmetry_space_group_name_H-M 'P 1 21/c 1'
_symmetry_Int_Tables_number 14
_cell_length_a 8.6017
_cell_length_b 5.9983
_cell_length_c 11.6363
_cell_angle_alpha 90.00
_cell_angle_beta 115.82
_cell_angle_gamma 90.00
loop_
_symmetry_equiv_pos_as_xyz
'x,y,z'
'-x,-y,-z'
'-x,y+1/2,-z+1/2'
'x,-y+1/2,z+1/2'
loop_
_atom_site_label
_atom_site_type_symbol
_atom_site_fract_x
_atom_site_fract_y
_atom_site_fract_z
Li1 Li 0.0000 0.0000 0.0000
Ni1 Ni 0.0942 0.0046 0.4028
Ni2 Ni 0.2006 0.0073 0.8059
Ni3 Ni 0.2933 0.5014 0.7008
Ni4 Ni 0.4088 0.0019 0.5982
Ni5 Ni 0.5000 0.0000 0.0000
S1 S 0.0574 0.1710 0.2105
S2 S 0.1631 0.6534 0.1069
S3 S 0.2671 0.1637 0.0110
S4 S 0.3355 0.6644 0.8948
S5 S 0.4544 0.1758 0.8062
```

Calculated values
The calculation puts the mass density at 5.26 g/cm3.


ii.
VASP calculation (PBE) on LiNi9S10 after structural relaxation.

```
data_LiNi9S10
_chemical_formula_sum 'Li1 Ni9 S10'
_symmetry_space_group_name_H-M 'P -1'
_symmetry_Int_Tables_number 2
_cell_length_a 5.9663
_cell_length_b 6.2490
_cell_length_c 7.9271
_cell_angle_alpha 101.13
_cell_angle_beta 111.82
_cell_angle_gamma 90.06
loop_
_symmetry_equiv_pos_as_xyz
'x,y,z'
'-x,-y,-z'
loop_
_atom_site_label
_atom_site_type_symbol
_atom_site_fract_x
_atom_site_fract_y
_atom_site_fract_z
Li1 Li 0.0000 0.0000 0.0000
Ni1 Ni 0.0970 0.7071 0.1982
Ni2 Ni 0.1951 0.3960 0.3932
Ni3 Ni 0.3032 0.1033 0.6003
Ni4 Ni 0.4009 0.8054 0.8057
Ni5 Ni 0.5000 0.5000 0.0000
S1 S 0.0807 0.7496 0.5013
S2 S 0.1238 0.6339 0.9030
S3 S 0.2918 0.1544 0.8920
S4 S 0.3197 0.0462 0.3061
S5 S 0.4786 0.5431 0.3035
```

Calculated values
The calculation puts the mass density at 5.30 g/cm3.


Pick i: it beats the second-best structure by 6 meV per atom.


i.
VASP calculation (PBE) on Li2O after structural relaxation.

```
data_Li2O
_chemical_formula_sum 'Li68 O34'
_symmetry_space_group_name_H-M 'P 1'
_symmetry_Int_Tables_number 1
_cell_length_a 9.5982
_cell_length_b 10.0802
_cell_length_c 10.3807
_cell_angle_alpha 91.65
_cell_angle_beta 91.68
_cell_angle_gamma 93.01
loop_
_symmetry_equiv_pos_as_xyz
'x,y,z'
loop_
_atom_site_label
_atom_site_type_symbol
_atom_site_fract_x
_atom_site_fract_y
_atom_site_fract_z
Li1 Li 0.0000 0.0000 0.0000
Li2 Li 0.9998 0.0132 0.6614
Li3 Li 0.0293 0.9383 0.2370
Li4 Li 0.0319 0.7840 0.7440
Li5 Li 0.0627 0.9454 0.4539
Li6 Li 0.0727 0.6568 0.2487
Li7 Li 0.0846 0.2655 0.8157
Li8 Li 0.0853 0.4771 0.4640
Li9 Li 0.0889 0.4901 0.6807
Li10 Li 0.0933 0.7326 0.4902
Li11 Li 0.1206 0.2246 0.5162
Li12 Li 0.1319 0.5436 0.9000
Li13 Li 0.1361 0.3245 0.1116
Li14 Li 0.1448 0.0507 0.8429
Li15 Li 0.1828 0.1198 0.3043
Li16 Li 0.2416 0.8164 0.1632
Li17 Li 0.2513 0.1352 0.0518
Li18 Li 0.2666 0.5319 0.1501
Li19 Li 0.2726 0.3507 0.3031
Li20 Li 0.2955 0.5972 0.4270
Li21 Li 0.2987 0.9227 0.3743
Li22 Li 0.3045 0.2736 0.6998
Li23 Li 0.3050 0.5552 0.7172
Li24 Li 0.3314 0.0110 0.7153
Li25 Li 0.3383 0.1068 0.5468
Li26 Li 0.3380 0.3466 0.9415
Li27 Li 0.3398 0.7552 0.6244
Li28 Li 0.3408 0.7173 0.9592
Li29 Li 0.3867 0.9738 0.0440
Li30 Li 0.4169 0.1654 0.2329
Li31 Li 0.4703 0.1656 0.8462
Li32 Li 0.4985 0.2548 0.4854
Li33 Li 0.5051 0.3958 0.0947
Li34 Li 0.5055 0.9314 0.2244
Li35 Li 0.5094 0.4752 0.3311
Li36 Li 0.5085 0.8639 0.8724
Li37 Li 0.5157 0.7993 0.4623
Li38 Li 0.5259 0.5234 0.8476
Li39 Li 0.5638 0.6546 0.6524
Li40 Li 0.5771 0.4753 0.5378
Li41 Li 0.5900 0.6800 0.0632
Li42 Li 0.5986 0.0070 0.4937
Li43 Li 0.6164 0.6823 0.3092
Li44 Li 0.6241 0.0804 0.7074
Li45 Li 0.6266 0.1633 0.0104
Li46 Li 0.6279 0.3268 0.7519
Li47 Li 0.6480 0.9507 0.0538
Li48 Li 0.6869 0.2547 0.2473
Li49 Li 0.7300 0.3734 0.9647
Li50 Li 0.7339 0.4704 0.2873
Li51 Li 0.7509 0.9943 0.2527
Li52 Li 0.7768 0.5495 0.1161
Li53 Li 0.7862 0.6202 0.8333
Li54 Li 0.7893 0.4211 0.5253
Li55 Li 0.8098 0.8692 0.9384
Li56 Li 0.8103 0.9083 0.6914
Li57 Li 0.8301 0.0928 0.8477
Li58 Li 0.8314 0.9616 0.4669
Li59 Li 0.8341 0.7665 0.1581
Li60 Li 0.8440 0.7514 0.4015
Li61 Li 0.8683 0.2287 0.6656
Li62 Li 0.8723 0.2046 0.4527
Li63 Li 0.8739 0.4411 0.7463
Li64 Li 0.8816 0.6436 0.6293
Li65 Li 0.9210 0.2842 0.9927
Li66 Li 0.9273 0.1439 0.1706
Li67 Li 0.9633 0.4543 0.2449
Li68 Li 0.9843 0.6887 0.9693
O1 O 0.0652 0.1778 0.0101
O2 O 0.1353 0.8178 0.3369
O3 O 0.1546 0.4870 0.2955
O4 O 0.1628 0.1208 0.6649
O5 O 0.1698 0.6598 0.0496
O6 O 0.1919 0.6118 0.5773
O7 O 0.2224 0.4090 0.8060
O8 O 0.2919 0.0076 0.1996
O9 O 0.3096 0.2216 0.4142
O10 O 0.3259 0.3243 0.1287
O11 O 0.3304 0.0447 0.8959
O12 O 0.4065 0.9247 0.5426
O13 O 0.4389 0.6843 0.7879
O14 O 0.4816 0.8233 0.0632
O15 O 0.4864 0.2041 0.6634
O16 O 0.4938 0.6170 0.4643
O17 O 0.5417 0.3456 0.9216
O18 O 0.5839 0.5424 0.1832
O19 O 0.6023 0.0972 0.1791
O20 O 0.6478 0.3553 0.4079
O21 O 0.6549 0.0075 0.8765
O22 O 0.6721 0.8685 0.3694
O23 O 0.7022 0.5235 0.6790
O24 O 0.7777 0.6850 0.9950
O25 O 0.7807 0.0713 0.5990
O26 O 0.8296 0.3470 0.1379
O27 O 0.8368 0.2855 0.8317
O28 O 0.8691 0.6177 0.2808
O29 O 0.8700 0.9457 0.1178
O30 O 0.9368 0.8229 0.5633
O31 O 0.9604 0.9393 0.8272
O32 O 0.9637 0.3600 0.5630
O33 O 0.9775 0.6059 0.7923
O34 O 0.9828 0.0868 0.3575
```

Calculated values
The calculation puts the mass density at 1.68 g/cm3.


ii.
VASP calculation (PBE) on Li2O after structural relaxation.

```
data_Li2O
_chemical_formula_sum 'Li8 O4'
_symmetry_space_group_name_H-M 'P n m a'
_symmetry_Int_Tables_number 62
_cell_length_a 5.1518
_cell_length_b 3.1404
_cell_length_c 5.9334
_cell_angle_alpha 90.00
_cell_angle_beta 90.00
_cell_angle_gamma 90.00
loop_
_symmetry_equiv_pos_as_xyz
'x,y,z'
'-x,-y,-z'
'-x+1/2,-y,z+1/2'
'x+1/2,y,-z+1/2'
'x+1/2,-y+1/2,-z+1/2'
'-x+1/2,y+1/2,z+1/2'
'-x,y+1/2,-z'
'x,-y+1/2,z'
loop_
_atom_site_label
_atom_site_type_symbol
_atom_site_fract_x
_atom_site_fract_y
_atom_site_fract_z
Li1 Li 0.0122 0.2500 0.1591
Li2 Li 0.1411 0.2500 0.5792
O1 O 0.2461 0.7500 0.3988
```

Calculated values
The calculation puts the mass density at 2.07 g/cm3.


iii.
VASP calculation (PBE) on Li2O after structural relaxation.

```
data_Li2O
_chemical_formula_sum 'Li68 O34'
_symmetry_space_group_name_H-M 'P 1'
_symmetry_Int_Tables_number 1
_cell_length_a 9.7155
_cell_length_b 10.0590
_cell_length_c 10.1182
_cell_angle_alpha 91.51
_cell_angle_beta 91.25
_cell_angle_gamma 96.37
loop_
_symmetry_equiv_pos_as_xyz
'x,y,z'
loop_
_atom_site_label
_atom_site_type_symbol
_atom_site_fract_x
_atom_site_fract_y
_atom_site_fract_z
Li1 Li 0.0000 0.0000 0.0000
Li2 Li 0.0010 0.7407 0.6886
Li3 Li 0.0385 0.2214 0.9267
Li4 Li 0.0401 0.2455 0.3771
Li5 Li 0.0628 0.7158 0.4424
Li6 Li 0.0727 0.6242 0.2281
Li7 Li 0.0965 0.4657 0.0151
Li8 Li 0.0976 0.0303 0.2387
Li9 Li 0.1226 0.0453 0.4680
Li10 Li 0.1338 0.3305 0.5720
Li11 Li 0.1486 0.9560 0.8333
Li12 Li 0.1534 0.4777 0.7871
Li13 Li 0.1646 0.7609 0.9767
Li14 Li 0.2126 0.4475 0.2745
Li15 Li 0.2259 0.8427 0.2654
Li16 Li 0.2380 0.7987 0.5710
Li17 Li 0.2447 0.9716 0.0698
Li18 Li 0.2462 0.6988 0.7982
Li19 Li 0.2898 0.2125 0.1098
Li20 Li 0.2982 0.2519 0.8270
Li21 Li 0.3071 0.5439 0.6147
Li22 Li 0.3224 0.2129 0.6034
Li23 Li 0.3243 0.6705 0.1378
Li24 Li 0.3489 0.2422 0.3473
Li25 Li 0.3633 0.0724 0.9031
Li26 Li 0.3729 0.4628 0.0510
Li27 Li 0.3820 0.9641 0.7012
Li28 Li 0.3925 0.4757 0.8248
Li29 Li 0.4163 0.9945 0.4051
Li30 Li 0.4428 0.6946 0.9409
Li31 Li 0.4455 0.7231 0.4306
Li32 Li 0.4569 0.5596 0.2707
Li33 Li 0.4699 0.3972 0.6167
Li34 Li 0.4710 0.0529 0.1905
Li35 Li 0.4906 0.7534 0.7123
Li36 Li 0.5048 0.9318 0.9316
Li37 Li 0.5421 0.2958 0.1047
Li38 Li 0.5528 0.2304 0.8693
Li39 Li 0.5876 0.1958 0.6371
Li40 Li 0.5936 0.8492 0.1987
Li41 Li 0.6092 0.4288 0.3545
Li42 Li 0.6169 0.5140 0.0492
Li43 Li 0.6269 0.6008 0.5823
Li44 Li 0.6294 0.9533 0.4828
Li45 Li 0.6350 0.4618 0.8208
Li46 Li 0.6355 0.9284 0.6967
Li47 Li 0.6419 0.2115 0.3405
Li48 Li 0.6730 0.7379 0.0127
Li49 Li 0.6976 0.0799 0.0577
Li50 Li 0.7119 0.6661 0.2510
Li51 Li 0.7451 0.3879 0.5829
Li52 Li 0.7507 0.7016 0.7953
Li53 Li 0.7815 0.1272 0.7839
Li54 Li 0.7850 0.0045 0.2567
Li55 Li 0.7938 0.9250 0.9257
Li56 Li 0.7967 0.6518 0.4652
Li57 Li 0.8224 0.3127 0.9205
Li58 Li 0.8513 0.1617 0.4959
Li59 Li 0.8534 0.4987 0.1246
Li60 Li 0.8885 0.5297 0.8273
Li61 Li 0.8896 0.2688 0.1546
Li62 Li 0.8990 0.4433 0.3378
Li63 Li 0.9028 0.9398 0.4746
Li64 Li 0.9130 0.3204 0.7056
Li65 Li 0.9166 0.7571 0.0062
Li66 Li 0.9275 0.8210 0.2244
Li67 Li 0.9340 0.9445 0.6909
Li68 Li 0.9838 0.5249 0.5866
O1 O 0.0006 0.3895 0.8619
O2 O 0.0297 0.4251 0.1886
O3 O 0.0640 0.8830 0.5544
O4 O 0.0906 0.8390 0.1242
O5 O 0.1504 0.6325 0.6460
O6 O 0.1855 0.1180 0.9602
O7 O 0.2052 0.2158 0.4590
O8 O 0.2544 0.5900 0.9573
O9 O 0.2627 0.6672 0.3187
O10 O 0.2762 0.3753 0.6959
O11 O 0.2947 0.0288 0.2541
O12 O 0.3144 0.8698 0.8696
O13 O 0.3745 0.3723 0.2119
O14 O 0.4254 0.1384 0.7373
O15 O 0.4531 0.8687 0.5624
O16 O 0.4937 0.5737 0.7047
O17 O 0.4976 0.3908 0.9442
O18 O 0.5146 0.1011 0.0245
O19 O 0.5192 0.6700 0.1173
O20 O 0.5729 0.3044 0.4892
O21 O 0.6018 0.0142 0.3154
O22 O 0.6036 0.6216 0.4008
O23 O 0.6250 0.8303 0.8476
O24 O 0.7211 0.2983 0.7576
O25 O 0.7232 0.3558 0.2095
O26 O 0.7764 0.8717 0.1195
O27 O 0.7810 0.0198 0.6114
O28 O 0.7844 0.5909 0.9674
O29 O 0.8225 0.6016 0.6466
O30 O 0.8594 0.1305 0.9672
O31 O 0.9093 0.6567 0.3207
O32 O 0.9377 0.3468 0.5174
O33 O 0.9467 0.0684 0.3452
O34 O 0.9660 0.8578 0.8494
```

Calculated values
The calculation puts the mass density at 1.72 g/cm3.


iv.
VASP calculation (PBE) on Li2O after structural relaxation.

```
data_Li2O
_chemical_formula_sum 'Li8 O4'
_symmetry_space_group_name_H-M 'F m -3 m'
_symmetry_Int_Tables_number 225
_symmetry_space_group_name_Hall '-F 4 2 3'
_cell_length_a 4.6588
_cell_length_b 4.6588
_cell_length_c 4.6588
_cell_angle_alpha 90.00
_cell_angle_beta 90.00
_cell_angle_gamma 90.00
loop_
_atom_site_label
_atom_site_type_symbol
_atom_site_fract_x
_atom_site_fract_y
_atom_site_fract_z
Li1 Li 0.2500 0.2500 0.2500
O1 O 0.0000 0.0000 0.0000
```

Calculated values
The calculation puts the mass density at 1.96 g/cm3.


Pick iv: it beats the second-best structure by 85 meV per atom.